No. 1
Here is crystalline CsZnNiF6 at its relaxed geometry from the Materials Project. Energies are from GGA+U.

Cell: 7.4205 7.4205 7.4205 Å, 120.79 119.75 89.54°
Closest atoms and distances in Å follow each position.
Fractional coordinates of all 18 atoms:
Cs 0.3724 0.1224 0.2500  6 F 3.14-3.30
Cs 0.6276 0.8776 0.7500  6 F 3.14-3.30
Zn 0.0000 0.0000 0.5000  6 F 1.99-2.09
Zn 0.0000 0.5000 0.0000  6 F 1.99-2.09
Ni 0.0000 0.5000 0.5000  6 F 1.90-1.98
Ni 0.5000 0.5000 0.0000  6 F 1.90-1.98
F 0.0734 0.4354 0.2672  1 Ni 1.90, 1 Zn 2.09
F 0.0734 0.8062 0.6380  1 Ni 1.90, 1 Zn 2.09
F 0.0747 0.8247 0.2500  2 Zn 1.99
F 0.3140 0.5640 0.7500  2 Ni 1.98
F 0.3318 0.1938 0.7672  1 Ni 1.90, 1 Zn 2.09
F 0.3318 0.5646 0.1380  1 Ni 1.90, 1 Zn 2.09
F 0.6682 0.4354 0.8620  1 Ni 1.90, 1 Zn 2.09
F 0.6682 0.8062 0.2328  1 Ni 1.90, 1 Zn 2.09
F 0.6860 0.4360 0.2500  2 Ni 1.98
F 0.9253 0.1753 0.7500  2 Zn 1.99
F 0.9266 0.1938 0.3620  1 Ni 1.90, 1 Zn 2.09
F 0.9266 0.5646 0.7328  1 Ni 1.90, 1 Zn 2.09

Results
Its final energy is -4.014 eV/atom.

No. 2
Here is crystalline MgNbCrO4 at its relaxed geometry from the Materials Project. Energies are from GGA+U.

Cell: 5.6742 5.6742 4.0558 Å, 110.78 110.78 42.94°
Closest atoms and distances in Å follow each position.
Fractional coordinates of all 7 atoms:
Mg 0.0000 0.0000 0.0000  5 O 2.06-2.13
Nb 0.7380 0.7380 0.2407  6 O 2.03-2.20
Cr 0.4637 0.4637 0.4646  4 O 2.08
O 0.2187 0.2187 0.2200  2 Nb 2.09, 1 Mg 2.13
O 0.5131 0.5131 0.0137  2 Mg 2.08, 2 Cr 2.08, 1 Nb 2.20
O 0.7565 0.7565 0.7585  2 Nb 2.03-2.04
O 0.9620 0.9620 0.4624  2 Mg 2.06, 2 Cr 2.08, 1 Nb 2.19

Results
Its final energy is -7.752 eV/atom. Its energy above the lowest structure with this stoichiometry is 0.0000 eV per atom.

No. 3
Here is crystalline Cu6NiO6 at its relaxed geometry from the Materials Project. Energies are from GGA+U.

Cell: 5.8116 5.8116 5.8116 Å, 60.00 60.00 60.00°
Closest atoms and distances in Å follow each position.
Fractional coordinates of all 13 atoms:
Cu 0.0000 0.0000 0.5000  4 O 2.06
Cu 0.0000 0.5000 0.0000  4 O 2.06
Cu 0.0000 0.5000 0.5000  4 O 2.06
Cu 0.5000 0.0000 0.0000  4 O 2.06
Cu 0.5000 0.0000 0.5000  4 O 2.06
Cu 0.5000 0.5000 0.0000  4 O 2.06
Ni 0.0000 0.0000 0.0000  6 O 1.90
O 0.2312 0.2312 0.7688  1 Ni 1.90, 4 Cu 2.06
O 0.2312 0.7688 0.2312  1 Ni 1.90, 4 Cu 2.06
O 0.2312 0.7688 0.7688  1 Ni 1.90, 4 Cu 2.06
O 0.7688 0.2312 0.2312  1 Ni 1.90, 4 Cu 2.06
O 0.7688 0.2312 0.7688  1 Ni 1.90, 4 Cu 2.06
O 0.7688 0.7688 0.2312  1 Ni 1.90, 4 Cu 2.06

Results
Its final energy is -4.822 eV/atom.

No. 4
Here is crystalline Fe3OF5 at its relaxed geometry from the Materials Project. Energies are from GGA+U.

Cell: 6.8248 3.1818 10.7907 Å, 90.00 108.38 90.00°
Closest atoms and distances in Å follow each position.
Fractional coordinates of all 18 atoms:
Fe 0.0000 0.0000 0.0000  2 O 1.92, 2 F 2.01-2.02
Fe 0.1483 0.5000 0.3499  2 O 1.93, 2 F 2.01-2.07
Fe 0.3413 0.0000 0.6836  6 F 2.01-2.14
Fe 0.5097 0.5000 0.0212  6 F 2.02-2.13
Fe 0.6902 0.0000 0.3573  1 O 2.06, 5 F 2.11-2.19
Fe 0.8457 0.5000 0.6944  1 O 2.06, 5 F 2.07-2.13
O 0.9464 0.5000 0.8955  3 Fe 1.92-2.06
O 0.9887 0.0000 0.3499  3 Fe 1.93-2.06
F 0.0470 0.0000 0.6837  3 Fe 2.01-2.13
F 0.0807 0.5000 0.1486  3 Fe 2.07-2.20
F 0.2804 0.5000 0.5449  3 Fe 2.01-2.13
F 0.3041 0.0000 0.0232  3 Fe 2.01-2.13
F 0.3659 0.0000 0.3502  3 Fe 2.18-2.19
F 0.4106 0.5000 0.8233  3 Fe 2.03-2.14
F 0.5994 0.5000 0.2185  3 Fe 2.02-2.14
F 0.6370 0.0000 0.6867  3 Fe 2.01-2.12
F 0.7204 0.0000 0.0265  3 Fe 2.02-2.13
F 0.7388 0.5000 0.4926  3 Fe 2.07-2.11

Results
Its final energy is -5.736 eV/atom. Its energy above the lowest structure with this stoichiometry is 0.0055 eV per atom.

No. 5
Here is crystalline Li2CoSiO4 at its relaxed geometry from the Materials Project. Energies are from GGA+U.

Cell: 5.3763 5.3773 12.3712 Å, 89.99 90.01 109.75°
Closest atoms and distances in Å follow each position.
Fractional coordinates of all 32 atoms:
O 0.6087 0.3898 0.3586  1 Si 1.66
O 0.1696 0.3958 0.2505  1 Si 1.66
O 0.6695 0.8958 0.5006  1 Si 1.66
O 0.6087 0.3906 0.1423  1 Si 1.66
O 0.1023 0.3291 0.5006  1 Si 1.66
Li 0.4974 0.0016 0.3756  4 O 1.98
Si 0.4972 0.5014 0.2505  4 O 1.66
O 0.1024 0.3291 0.0005  1 Si 1.66
Si 0.4972 0.5013 0.7505  4 O 1.66
Co 0.4968 0.5010 0.0005  4 O 2.01
Co 0.9968 0.0010 0.7502  4 O 2.01
O 0.1087 0.8899 0.6086  1 Si 1.66
O 0.6024 0.8291 0.2505  1 Si 1.66
O 0.6087 0.3898 0.8586  1 Si 1.66
O 0.6696 0.8957 0.0005  1 Si 1.66
Si 0.9972 0.0014 0.0004  4 O 1.66
O 0.1087 0.8905 0.3923  1 Si 1.66
Li 0.9978 0.5017 0.8755  4 O 1.98
Co 0.4968 0.5010 0.5004  4 O 2.01
Li 0.9975 0.5016 0.6256  4 O 1.98
O 0.1087 0.8898 0.1086  1 Si 1.66
O 0.1088 0.8904 0.8922  1 Si 1.66
Li 0.4974 0.0016 0.8756  4 O 1.98
O 0.6025 0.8291 0.7506  1 Si 1.66
Li 0.9978 0.5018 0.3755  4 O 1.98
O 0.6087 0.3904 0.6423  1 Si 1.66
Li 0.4978 0.0017 0.6255  4 O 1.98
Si 0.9971 0.0014 0.5005  4 O 1.66
Li 0.4978 0.0017 0.1255  4 O 1.98
Li 0.9975 0.5016 0.1256  4 O 1.98
Co 0.9968 0.0010 0.2504  4 O 2.01
O 0.1696 0.3957 0.7506  1 Si 1.66

Results
Its final energy is -6.458 eV/atom. Its energy above the lowest structure with this stoichiometry is 0.0257 eV per atom. The maximum piezoelectric response is 0.45 C/m2.

No. 6
Here is crystalline Li4Ti3Ni2Sn3O16 at its relaxed geometry from the Materials Project. Energies are from GGA+U.

Cell: 6.1111 6.1111 9.7497 Å, 90.42 90.42 59.75°
Closest atoms and distances in Å follow each position.
Fractional coordinates of all 28 atoms:
Li 0.0000 0.0000 0.0000  4 O 1.78-1.98
Li 0.0016 0.0016 0.4945  3 O 1.78-1.95
Li 0.3249 0.3249 0.3827  4 O 2.01-2.07
Li 0.6585 0.6585 0.8876  4 O 1.99-2.07
Ti 0.1624 0.1624 0.7132  6 O 1.98-2.03
Ti 0.3315 0.8239 0.2130  6 O 1.98-2.02
Ti 0.8239 0.3315 0.2130  6 O 1.98-2.02
Ni 0.3244 0.3244 0.9892  6 O 2.16-2.18
Ni 0.6578 0.6578 0.4853  6 O 2.15-2.17
Sn 0.1612 0.6547 0.7126  6 O 2.07-2.11
Sn 0.6547 0.1612 0.7126  6 O 2.07-2.11
Sn 0.8234 0.8234 0.2119  6 O 2.08-2.13
O 0.0000 0.0000 0.3122  1 Li 1.78
O 0.0276 0.4651 0.8338  1 Ti 1.98, 1 Li 2.02, 1 Sn 2.10, 1 Ni 2.18
O 0.1530 0.1530 0.1093  1 Li 1.93, 2 Ti 2.02
O 0.1604 0.6768 0.1015  1 Li 1.98, 1 Ti 2.00, 1 Sn 2.09, 1 Ni 2.16
O 0.3136 0.8435 0.6026  1 Li 1.95, 1 Ti 2.00, 1 Sn 2.11, 1 Ni 2.15
O 0.3189 0.3189 0.5946  1 Ti 2.03, 1 Li 2.07, 2 Sn 2.11
O 0.4651 0.0276 0.8338  1 Ti 1.98, 1 Li 2.02, 1 Sn 2.10, 1 Ni 2.18
O 0.4755 0.4755 0.8390  1 Li 1.99, 2 Sn 2.07, 1 Ni 2.18
O 0.5021 0.9558 0.3328  1 Ti 1.98, 1 Li 2.01, 1 Sn 2.08, 1 Ni 2.17
O 0.5132 0.5132 0.3260  2 Ti 1.98, 1 Li 2.07, 1 Ni 2.17
O 0.6501 0.6501 0.0994  2 Ti 2.02, 1 Li 2.07, 1 Sn 2.13
O 0.6768 0.1604 0.1015  1 Li 1.98, 1 Ti 2.00, 1 Sn 2.09, 1 Ni 2.16
O 0.8358 0.8358 0.5933  1 Li 2.01, 2 Sn 2.07, 1 Ni 2.15
O 0.8435 0.3136 0.6026  1 Li 1.95, 1 Ti 2.00, 1 Sn 2.11, 1 Ni 2.15
O 0.9558 0.5021 0.3328  1 Ti 1.98, 1 Li 2.01, 1 Sn 2.08, 1 Ni 2.17
O 0.9993 0.9993 0.8173  1 Li 1.78

Results
Its final energy is -6.637 eV/atom.

Question: Look up the final energy of the fifth one.
Answer: -6.458 eV/atom

Question: What is the formula in the fourth record?
Answer: Fe3OF5

Question: Look up the final energy of the first one.
Answer: -4.014 eV/atom